{"formula": "Zr2CuTc", "functional": "PBE-GGA", "state": "optimized geometry", "lattice_angstrom": [[0.000, 3.291, 3.291], [3.291, 0.000, 3.291], [3.291, 3.291, 0.000]], "species": ["Tc", "Cu", "Zr", "Zr"], "frac_coords": [[0.000, 0.000, 0.000], [0.500, 0.500, 0.500], [0.250, 0.250, 0.250], [0.750, 0.750, 0.750]], "total_energy_ev_per_atom": -8.159, "sg": "No. 225", "ef_ev_per_atom": -0.27}